Version P
First-principles (PBE-GGA) data for a relaxed MgAg4As4S4 crystal, as listed in Materials Project.

```
13
Lattice="12.4018 -0.1773 -0.0001 -0.0746 5.5108 0.0008 0.0001 0.0008 4.4489" Properties=species:S:1:pos:R:3 pbc="T T T"
Mg 3.2582 4.8503 1.1058
Ag 10.4454 0.0842 1.0999
Ag 4.5271 2.1631 1.0992
Ag 8.3101 2.7416 3.3253
Ag 1.4129 0.1854 3.3242
As 6.2834 0.3198 1.1045
As 12.1371 2.0961 1.1060
As 0.0714 3.4537 3.3301
As 6.4969 4.6681 3.3302
S 2.0098 1.4909 1.1008
S 8.2406 1.4497 1.1023
S 4.2853 3.9219 3.3304
S 10.4162 4.2380 3.3263
```

=====

Version Q
First-principles (PBE-GGA) data for a relaxed MgAg4As4S4 crystal, as listed in Materials Project.

```
13
Lattice="12.0941 0.7011 -0.1064 0.3234 5.5881 -0.0020 -0.0374 -0.0024 4.4682" Properties=species:S:1:pos:R:3 pbc="T T T"
Mg 6.2513 2.3732 3.3225
Ag 10.0675 1.2824 0.9720
Ag 3.8634 2.7987 1.0734
Ag 9.0947 3.2305 3.0753
Ag 2.0500 5.5089 3.3484
As 5.6473 0.5586 1.0988
As 12.0005 3.0792 1.0037
As 0.3353 3.5610 3.3534
As 6.6270 5.1158 3.3309
S 1.8837 1.2253 1.1177
S 7.5122 2.0481 1.0885
S 4.4830 4.0783 3.3149
S 10.4076 5.3518 3.2328
```

=====

Q: What are the energies relative to the best structure? A: version P 0.010; version Q 0.000, in eV/atom.

=====

Version P
First-principles (PBE-GGA) data for a relaxed Cs crystal, as listed in Materials Project.

```
1
Lattice="1.2987 -2.2557 -4.6070 0.9943 -3.3702 3.9563 -5.1483 1.2224 -0.0239" Properties=species:S:1:pos:R:3 pbc="T T T"
Cs 0.0000 0.0000 0.0000
```

=====

Version Q
First-principles (PBE-GGA) data for a relaxed Cs crystal, as listed in Materials Project.

```
4
Lattice="-3.2991 -4.1779 0.5750 1.2097 -2.1095 -8.3864 7.7707 -5.7816 2.5751" Properties=species:S:1:pos:R:3 pbc="T T T"
Cs 1.5321 -6.9026 -4.8614
Cs 4.1492 -5.1664 -0.3749
Cs -1.2675 -4.2149 -1.3955
Cs 6.9488 -7.8541 -3.8407
```

=====

Q: What are the energies relative to the best structure? A: version P 0.000; version Q 0.008, in eV/atom.

=====

Version P
First-principles (PBE-GGA) data for a relaxed KO2 crystal, as listed in Materials Project.

```
12
Lattice="5.3777 0.0000 0.0000 0.0000 5.5506 0.0000 0.0000 2.2420 7.5855" Properties=species:S:1:pos:R:3 pbc="T T T"
K 3.9936 5.1645 4.2222
K 1.3048 6.5244 7.1561
K 1.3841 2.6281 3.3633
K 4.0729 1.2682 0.4294
O 1.3271 5.0233 4.6813
O 4.0159 6.6656 6.6970
O 4.0506 2.7693 2.9042
O 1.3618 1.1270 0.8885
O 3.8559 1.9389 5.6230
O 1.1670 4.1994 5.7553
O 1.5218 5.8537 1.9626
O 4.2106 3.5932 1.8302
```

=====

Version Q
First-principles (PBE-GGA) data for a relaxed KO2 crystal, as listed in Materials Project.

```
6
Lattice="-0.8798 -3.0069 4.1821 1.7036 -4.7434 1.3796 5.1876 -1.1210 5.4766" Properties=species:S:1:pos:R:3 pbc="T T T"
K 2.1539 -2.0639 4.8293
K 0.8518 -2.3717 0.6898
O 4.1957 -4.7435 4.4872
O 6.3241 -5.9752 7.2123
O -0.3127 -2.8961 3.8259
O 1.8157 -4.1278 6.5510
```

=====

Version R
First-principles (PBE-GGA) data for a relaxed KO2 crystal, as listed in Materials Project.

```
6
Lattice="6.6734 -2.4555 -1.7625 5.8806 4.2793 1.0785 2.6213 -8.6907 6.8073" Properties=species:S:1:pos:R:3 pbc="T T T"
K 7.5876 -3.4334 3.0617
K 0.0000 0.0000 0.0000
O 7.4723 -4.4325 5.4752
O 7.9780 -3.1771 5.6411
O 7.7030 -2.4343 0.6481
O 7.1972 -3.6898 0.4823
```

=====

Q: What are the energies relative to the best structure? A: version P 0.025; version Q 0.000; version R 0.149, in eV/atom.

=====

Version P
First-principles (PBE-GGA) data for a relaxed MgMoWS4 crystal, as listed in Materials Project.

```
7
Lattice="-3.1769 0.0017 0.3215 1.7283 -2.3846 1.2339 2.4979 14.5470 24.6075" Properties=species:S:1:pos:R:3 pbc="T T T"
Mg -0.7222 1.8472 8.7107
Mo 0.4492 0.4839 4.4363
W -0.3867 5.9328 12.0046
S 1.3851 5.9337 13.6558
S -1.3213 0.4905 2.7973
S -1.0481 2.0814 5.4894
S 1.1110 4.3378 10.9559
```

=====

Version Q
First-principles (PBE-GGA) data for a relaxed MgMoWS4 crystal, as listed in Materials Project.

```
7
Lattice="3.1985 0.0000 0.0000 -1.5993 2.7700 0.0000 0.0000 -0.0005 28.6835" Properties=species:S:1:pos:R:3 pbc="T T T"
Mg 1.5993 0.9231 8.4850
Mo 0.0000 1.8465 4.1750
W 1.5993 0.9232 13.3037
S 0.0000 1.8466 14.8758
S 1.5993 0.9231 2.6198
S 1.5993 0.9232 5.7390
S 0.0000 1.8465 11.7270
```

=====

Q: What are the energies relative to the best structure? A: version P 0.014; version Q 0.000, in eV/atom.

=====

Version P
First-principles (PBE-GGA) data for a relaxed CeHfMg14 crystal, as listed in Materials Project.

```
16
Lattice="-6.1142 -1.0404 2.0723 3.9793 -4.8632 -0.2420 2.9929 1.9606 9.8146" Properties=species:S:1:pos:R:3 pbc="T T T"
Ce 0.7080 -1.5271 1.4790
Hf 2.6338 -4.0125 1.3883
Mg 2.1844 -0.5636 6.3958
Mg 4.1896 -2.9822 6.2675
Mg -2.3657 -2.0466 2.5201
Mg -0.8609 -1.0877 7.4292
Mg -0.3618 -4.4956 2.3983
Mg 1.1154 -3.5030 7.3090
Mg -0.2613 -0.4058 4.3925
Mg 1.2017 0.5526 9.1901
Mg 1.7544 -2.8691 4.2700
Mg 3.2174 -1.9108 9.0675
Mg -3.2735 -0.9165 5.4429
Mg -1.8265 0.0314 10.1879
Mg -1.3607 -3.4050 5.2006
Mg 0.1702 -2.4021 10.2212
```

=====

Version Q
First-principles (PBE-GGA) data for a relaxed CeHfMg14 crystal, as listed in Materials Project.

```
16
Lattice="-2.0884 5.9262 -1.5945 -1.7073 -5.1152 -3.5977 -8.2805 -1.3460 5.8432" Properties=species:S:1:pos:R:3 pbc="T T T"
Ce -1.9522 -0.8856 -0.7346
Hf -6.0925 -1.5586 2.1870
Mg -2.8344 -3.4105 -2.5664
Mg -6.9489 -4.1130 0.3849
Mg -2.9698 2.0984 -1.4892
Mg -7.1341 1.4066 1.3940
Mg -3.8483 -0.5337 -3.3404
Mg -7.9902 -1.1584 -0.4100
Mg -4.1451 0.6162 1.1031
Mg -8.1674 -0.0376 3.9415
Mg -5.0023 -1.9521 -0.7032
Mg -9.0246 -2.6059 2.1351
Mg -5.1850 3.5670 0.3092
Mg -9.2073 2.9132 3.1476
Mg -5.9360 1.0314 -1.5697
Mg -10.1717 0.3429 1.4193
```

=====

Q: What are the energies relative to the best structure? A: version P 0.000; version Q 0.038, in eV/atom.

=====

Version P
First-principles (PBE-GGA) data for a relaxed SrMg6C crystal, as listed in Materials Project.

```
16
Lattice="-3.2626 1.2388 0.7235 -1.4652 -0.3360 -6.0322 -5.5600 -15.9507 2.2390" Properties=species:S:1:pos:R:3 pbc="T T T"
Sr -2.3130 -4.7018 -2.3797
Sr -4.3604 -12.5092 1.7559
Mg -0.9253 -1.5633 -1.4958
Mg -1.5637 -1.7097 -4.1240
Mg -1.9215 -5.5123 0.7738
Mg -5.2789 -6.9363 -3.1496
Mg -4.5403 -6.7669 -0.1087
Mg -2.7737 -2.6579 0.8218
Mg -4.4380 -9.7067 -3.3924
Mg -3.6111 -9.5171 0.0116
Mg -5.4341 -13.6557 -1.1228
Mg -7.3263 -14.7437 0.9860
Mg -8.0529 -14.9103 -2.0053
Mg -6.2863 -10.8013 -1.0748
C -2.7247 -0.5834 -2.5091
C -4.7721 -8.3908 1.6265
```

=====

Version Q
First-principles (PBE-GGA) data for a relaxed SrMg6C crystal, as listed in Materials Project.

```
8
Lattice="-4.5839 5.0323 3.6865 -0.2301 -7.5579 -1.6585 2.1218 -0.9187 3.8925" Properties=species:S:1:pos:R:3 pbc="T T T"
Sr -2.6490 2.0456 4.5598
Mg -0.3641 -0.4229 2.7317
Mg -2.7870 -1.6941 3.7524
Mg -0.9472 -1.6960 0.1160
Mg -3.1648 -2.8595 1.0502
Mg -3.0057 0.4687 1.7491
Mg -1.0547 -5.1731 -0.6461
C -1.0395 -2.6086 2.5840
```

=====

Q: What are the energies relative to the best structure? A: version P 0.000; version Q 0.090, in eV/atom.